Record 1
# MnCu2GeS4 | the Materials Project | GGA-PBE | relaxed
# * formation energy from the elements: -0.65 eV/atom
# * V: 308 Å³ per cell
# * largest piezoelectric modulus: 0.3 C/m²
# * total energy after the MP2020 corrections: -5.467 eV per atom
# * final energy: -5.216 eV per atom
data_MnCu2GeS4
_chemical_formula_sum 'Mn2 Cu4 Ge2 S8'
_cell_length_a 7.593
_cell_length_b 6.504
_cell_length_c 6.240
_cell_angle_alpha 90.00
_cell_angle_beta 90.00
_cell_angle_gamma 90.00
_space_group_name_H-M_alt 'P m n 21'
_space_group_IT_number 31
_space_group_name_Hall 'P 2ac -2'
loop_
_atom_site_label
_atom_site_fract_x
_atom_site_fract_y
_atom_site_fract_z
Mn1 0.000 0.159 0.000
Cu1 0.249 0.325 0.507
Ge1 0.000 0.826 0.500
S1 0.000 0.157 0.384
S2 0.000 0.816 0.864
S3 0.242 0.659 0.375

***

Record 2
# MnCu2GeTe4 | the Materials Project | GGA-PBE | relaxed
# * formation energy from the elements: -0.31 eV/atom
# * V: 449 Å³ per cell
# * total energy after the MP2020 corrections: -4.633 eV per atom
# * final energy: -4.422 eV per atom
data_MnCu2GeTe4
_chemical_formula_sum 'Mn2 Cu4 Ge2 Te8'
_cell_length_a 6.113
_cell_length_b 6.113
_cell_length_c 12.021
_cell_angle_alpha 90.00
_cell_angle_beta 90.00
_cell_angle_gamma 90.00
_space_group_name_H-M_alt 'I -4 2 m'
_space_group_IT_number 121
_space_group_name_Hall 'I -4 2'
loop_
_atom_site_label
_atom_site_fract_x
_atom_site_fract_y
_atom_site_fract_z
Mn1 0.000 0.000 0.000
Cu1 0.000 0.500 0.250
Ge1 0.000 0.000 0.500
Te1 0.248 0.248 0.367

***

Record 3
# CuGe2N3 | the Materials Project | GGA-PBE | relaxed
# * formation energy from the elements: -0.10 eV/atom
# * V: 277 Å³ per cell
# * total energy after the MP2020 corrections: -6.490 eV per atom
# * final energy: -6.309 eV per atom
data_CuGe2N3
_chemical_formula_sum 'Cu4 Ge8 N12'
_cell_length_a 9.581
_cell_length_b 5.536
_cell_length_c 5.215
_cell_angle_alpha 90.00
_cell_angle_beta 90.00
_cell_angle_gamma 90.00
_space_group_name_H-M_alt 'C m c 21'
_space_group_IT_number 36
_space_group_name_Hall 'C 2c -2'
loop_
_atom_site_label
_atom_site_fract_x
_atom_site_fract_y
_atom_site_fract_z
Cu1 0.000 0.160 0.000
Ge1 0.164 0.334 0.488
N1 0.000 0.197 0.387
N2 0.185 0.350 0.852

***

Record 4
# CuGe7N10 | the Materials Project | GGA-PBE | relaxed
# * formation energy from the elements: -0.02 eV/atom
# * V: 517 Å³ per cell
# * total energy after the MP2020 corrections: -6.679 eV per atom
# * final energy: -6.479 eV per atom
data_CuGe7N10
_chemical_formula_sum 'Cu2 Ge14 N20'
_cell_length_a 6.999
_cell_length_b 7.378
_cell_length_c 10.263
_cell_angle_alpha 90.00
_cell_angle_beta 102.83
_cell_angle_gamma 90.00
_space_group_name_H-M_alt 'P 1 c 1'
_space_group_IT_number 7
_space_group_name_Hall 'P -2yc'
loop_
_atom_site_label
_atom_site_fract_x
_atom_site_fract_y
_atom_site_fract_z
Cu1 0.000 0.103 0.000
Ge1 0.168 0.396 0.900
Ge2 0.355 0.373 0.209
Ge3 0.392 0.017 0.851
Ge4 0.539 0.365 0.513
Ge5 0.600 0.019 0.151
Ge6 0.708 0.358 0.819
Ge7 0.897 0.382 0.141
N1 0.129 0.426 0.267
N2 0.180 0.147 0.876
N3 0.344 0.488 0.049
N4 0.375 0.127 0.196
N5 0.498 0.121 0.501
N6 0.554 0.454 0.347
N7 0.605 0.132 0.800
N8 0.756 0.409 0.651
N9 0.820 0.142 0.127
N10 0.932 0.378 0.959